1.
DFT (PBE) results for a geometry-optimized Cu3Sn structure.

Calculated values
**E_form**: 0.00 eV per atom

```
Cu3Sn
1.0
5.540 0.000 0.000
-2.770 4.798 0.000
0.000 0.000 4.350
Cu Sn
6 2
Direct
0.156 0.312 0.250
0.156 0.844 0.250
0.312 0.156 0.750
0.688 0.844 0.250
0.844 0.156 0.750
0.844 0.688 0.750
0.333 0.667 0.750
0.667 0.333 0.250
```



2.
DFT (PBE) results for a geometry-optimized CuSn3 structure.

Calculated values
**Magnetization**: 0.0 μB per formula unit
**E_form**: 0.23 eV per atom
**Relative energy among the computed polymorphs**: 0.008 eV/atom

```
CuSn3
1.0
-2.240 2.240 4.871
2.240 -2.240 4.871
2.240 2.240 -4.871
Cu Sn
1 3
Direct
0.000 0.000 0.000
0.250 0.750 0.500
0.500 0.500 0.000
0.750 0.250 0.500
```



3.
DFT (PBE) results for a geometry-optimized Cu5Sn4 structure.

Calculated values
**E_form**: -0.01 eV per atom
**Relative energy among the computed polymorphs**: 0.004 eV/atom

```
Cu5Sn4
1.0
6.418 -3.701 0.000
6.418 3.701 0.000
-0.059 0.000 10.309
Cu Sn
15 12
Direct
0.000 0.000 0.000
0.298 0.024 0.874
0.311 0.026 0.623
0.325 0.008 0.126
0.339 0.008 0.377
0.651 0.007 0.250
0.658 0.325 0.377
0.675 0.310 0.126
0.675 0.342 0.623
0.690 0.325 0.874
0.974 0.689 0.377
0.976 0.702 0.126
0.992 0.661 0.623
0.992 0.675 0.874
0.993 0.349 0.750
0.017 0.001 0.268
0.301 0.372 0.249
0.330 0.670 0.500
0.350 0.351 0.751
0.357 0.643 0.000
0.628 0.699 0.751
0.635 0.008 0.981
0.649 0.650 0.249
0.654 0.009 0.519
0.991 0.346 0.481
0.992 0.365 0.019
0.999 0.983 0.732
```